# 1
YGa: optimized geometry, meta-GGA r2SCAN.

Output
SG	Cmcm

Structure (POSCAR):
```
YGa
1.0
2.166 -5.425 0.000
2.166 5.425 0.000
0.000 0.000 4.065
Y Ga
2 2
Cartesian
2.166 3.916 3.048
2.166 -3.916 1.016
2.166 0.805 3.048
2.166 -0.805 1.016
```

---

# 2
Yb3Ga8: optimized geometry, meta-GGA r2SCAN.

Output
SG	Immm

Structure (POSCAR):
```
Yb3Ga8
1.0
-2.019 2.090 12.463
2.019 -2.090 12.463
2.019 2.090 -12.463
Yb Ga
3 8
Cartesian
0.000 0.000 0.000
2.019 0.000 8.923
0.000 2.090 3.540
2.019 0.000 2.349
2.019 0.000 4.724
0.000 0.000 6.271
0.000 0.000 11.273
0.000 0.000 13.654
0.000 0.000 18.655
0.000 2.090 7.740
0.000 2.090 10.114
```

---

# 3
YbZn2Ga2: optimized geometry, meta-GGA r2SCAN.

Output
SG	I4/mmm

Structure (POSCAR):
```
YbZn2Ga2
1.0
-2.004 2.004 5.412
2.004 -2.004 5.412
2.004 2.004 -5.412
Yb Zn Ga
1 2 2
Cartesian
0.000 0.000 0.000
0.000 0.000 4.243
0.000 0.000 6.581
2.004 0.000 2.706
0.000 2.004 2.706
```

---

# 4
Yb2ZnGa: optimized geometry, meta-GGA r2SCAN.

Output
SG	Fm-3m

Structure (POSCAR):
```
Yb2ZnGa
1.0
0.000 3.477 3.477
3.477 0.000 3.477
3.477 3.477 0.000
Yb Zn Ga
2 1 1
Cartesian
1.738 1.738 1.738
5.215 5.215 5.215
0.000 0.000 0.000
3.477 3.477 3.477
```

---

# 5
YbZn2Ga2: optimized geometry, meta-GGA r2SCAN.

Output
SG	I4/mmm

Structure (POSCAR):
```
YbZn2Ga2
1.0
-2.009 2.009 5.387
2.009 -2.009 5.387
2.009 2.009 -5.387
Yb Zn Ga
1 2 2
Cartesian
0.000 0.000 0.000
2.009 0.000 2.693
0.000 2.009 2.693
0.000 0.000 4.193
0.000 0.000 6.581
```

---

# 6
YbZnGa3: optimized geometry, meta-GGA r2SCAN.

Output
SG	I4mm

Structure (POSCAR):
```
YbZnGa3
1.0
-2.065 2.065 5.262
2.065 -2.065 5.262
2.065 2.065 -5.262
Yb Zn Ga
1 1 3
Cartesian
0.000 0.000 0.000
0.000 0.000 6.475
2.065 0.000 2.619
0.000 0.000 4.139
0.000 2.065 2.619
```

---

# 7
ZnGa3: optimized geometry, meta-GGA r2SCAN.

Output
SG	Pm-3m

Structure (POSCAR):
```
ZnGa3
1.0
4.071 0.000 0.000
0.000 4.071 0.000
0.000 0.000 4.071
Zn Ga
1 3
Cartesian
0.000 0.000 0.000
0.000 2.035 2.035
2.035 0.000 2.035
2.035 2.035 0.000
```

---

# 8
Zr2Zn3Ga3: optimized geometry, meta-GGA r2SCAN.

Output
SG	Pmmm

Structure (POSCAR):
```
Zr2Zn3Ga3
1.0
3.994 0.000 0.000
0.000 4.033 0.000
0.000 0.000 8.166
Zr Zn Ga
2 3 3
Cartesian
0.000 0.000 2.007
0.000 0.000 6.160
0.000 2.016 0.000
0.000 2.016 4.083
1.997 0.000 4.083
1.997 0.000 0.000
1.997 2.016 2.112
1.997 2.016 6.054
```

---

# 9
Zr3Ga5: optimized geometry, meta-GGA r2SCAN.

Output
SG	Cmcm

Structure (POSCAR):
```
Zr3Ga5
1.0
4.437 -3.554 0.000
4.437 3.554 0.000
0.000 0.000 9.000
Zr Ga
6 10
Cartesian
4.437 2.556 6.750
2.622 0.000 0.000
2.622 0.000 4.500
6.251 0.000 0.000
6.251 0.000 4.500
4.437 -2.556 2.250
2.593 2.046 2.250
4.437 2.255 0.457
4.437 2.255 4.043
6.280 2.046 2.250
4.437 0.148 2.250
4.437 -0.148 6.750
2.593 -2.046 6.750
4.437 -2.255 4.957
4.437 -2.255 8.544
6.280 -2.046 6.750
```

---

# 10
Zr2Ga: optimized geometry, meta-GGA r2SCAN.

Output
SG	I4/mcm

Structure (POSCAR):
```
Zr2Ga
1.0
-3.338 3.338 2.736
3.338 -3.338 2.736
3.338 3.338 -2.736
Zr Ga
4 2
Cartesian
4.365 1.027 0.000
1.027 2.311 0.000
2.311 1.027 2.736
-1.027 2.311 2.736
0.000 0.000 1.368
0.000 0.000 4.105
```

---

# 11
ZrGa3: optimized geometry, meta-GGA r2SCAN.

Output
SG	I4/mmm

Structure (POSCAR):
```
ZrGa3
1.0
-1.975 1.975 8.744
1.975 -1.975 8.744
1.975 1.975 -8.744
Zr Ga
2 6
Cartesian
0.000 0.000 2.071
0.000 0.000 15.416
1.975 0.000 0.000
1.975 0.000 4.372
0.000 0.000 6.577
0.000 1.975 0.000
0.000 0.000 10.911
0.000 1.975 4.372
```

---

# 12
ZrGa: optimized geometry, meta-GGA r2SCAN.

Output
SG	I4_1/amd

Structure (POSCAR):
```
ZrGa
1.0
-1.937 1.937 10.243
1.937 -1.937 10.243
1.937 1.937 -10.243
Zr Ga
4 4
Cartesian
1.937 0.968 -3.643
0.000 0.968 1.478
1.937 0.968 8.765
0.000 0.968 13.886
1.937 0.968 -0.813
0.000 0.968 4.309
1.937 0.968 5.934
0.000 0.968 11.056
```

---

| no. | E_form (eV/atom) | calculated volume (Å³ per atom) | E_tot (eV for the cell shown) |
| --- | --- | --- | --- |
| 1 | -0.766 | 23.9 | -66.58 |
| 2 | -0.528 | 19.1 | -206.94 |
| 3 | -0.408 | 17.4 | -79.27 |
| 4 | -0.552 | 21.0 | -95.62 |
| 5 | -0.461 | 17.4 | -79.54 |
| 6 | -0.373 | 17.9 | -81.63 |
| 7 | 0.124 | 16.9 | -42.74 |
| 8 | -0.512 | 16.4 | -110.65 |
| 9 | -0.677 | 17.7 | -261.76 |
| 10 | -0.539 | 20.3 | -117.12 |
| 11 | -0.526 | 17.1 | -118.37 |
| 12 | -0.730 | 19.2 | -142.61 |